First-principles (GGA-PBE) data for Na2ZnCl4 after structural relaxation, as listed in Materials Project.

Cell and atoms, written as extended XYZ:
```
28
Lattice="13.930 0.000 0.000 0.000 8.145 0.000 0.000 0.000 6.471" Properties=species:S:1:pos:R:3 pbc="T T T"
Na 0.000 0.000 0.000
Na 0.000 4.072 0.000
Na 3.228 2.036 3.211
Na 3.737 6.109 6.446
Na 6.965 0.000 3.235
Na 6.965 4.072 3.235
Na 10.193 2.036 0.025
Na 10.702 6.109 3.260
Zn 1.263 6.109 2.677
Zn 5.702 2.036 5.912
Zn 8.228 6.109 0.559
Zn 12.667 2.036 3.794
Cl 0.860 2.036 4.730
Cl 1.286 6.109 4.946
Cl 2.295 4.290 1.693
Cl 2.295 7.928 1.693
Cl 4.670 0.217 4.929
Cl 4.670 3.855 4.929
Cl 5.679 2.036 1.710
Cl 6.105 6.109 1.495
Cl 7.825 2.036 4.976
Cl 8.251 6.109 4.761
Cl 9.260 4.290 1.542
Cl 9.260 7.928 1.542
Cl 11.635 0.217 4.777
Cl 11.635 3.855 4.777
Cl 12.644 2.036 1.525
Cl 13.070 6.109 1.740
```

Summary:
For the energy of formation from the pure elements, the calculation gives -1899 meV per atom. Its calculated density is 2.29 Mg/m³. The calculation puts the corrected total energy (MP2020 scheme) at -98.363 eV per cell.